Record 1
A plane-wave DFT calculation with PBE was carried out for a relaxed Na2SnO3 crystal.

abc: 5.615 5.615 5.851
angles: 80.62 80.62 119.88
Fractional coordinates of all 12 atoms:
Sn: 0.332 0.668 0.500
O: 0.440 0.075 0.287
Na: 0.156 0.844 0.000
Sn: 0.668 0.332 0.500
O: 0.925 0.560 0.713
O: 0.560 0.925 0.713
Na: 0.000 0.000 0.500
Na: 0.500 0.500 0.000
O: 0.075 0.440 0.287
Na: 0.844 0.156 0.000
O: 0.297 0.297 0.713
O: 0.703 0.703 0.287

* total DFT energy (no corrections): -5.3111 eV per atom
* energy of formation: -2071.6 meV per atom

=====

Record 2
A plane-wave DFT calculation with PBE was carried out for a relaxed Na2SnO3 crystal.

abc: 10.734 10.228 5.716
angles: 79.12 69.35 31.53
Fractional coordinates of all 24 atoms:
Na: 0.505 0.505 0.995
O: 0.876 0.307 0.665
O: 0.098 0.585 0.943
O: 0.374 0.943 0.585
Na: 0.745 0.745 0.255
Sn: 0.916 0.916 0.084
O: 0.307 0.876 0.152
Na: 0.255 0.255 0.745
O: 0.585 0.098 0.374
Sn: 0.166 0.166 0.334
O: 0.792 0.208 0.208
Na: 0.828 0.828 0.672
O: 0.665 0.152 0.876
O: 0.458 0.042 0.042
Na: 0.672 0.672 0.828
O: 0.943 0.374 0.098
Na: 0.578 0.578 0.422
Sn: 0.084 0.084 0.916
O: 0.042 0.458 0.458
Na: 0.422 0.422 0.578
Na: 0.995 0.995 0.505
O: 0.152 0.665 0.307
O: 0.208 0.792 0.792
Sn: 0.334 0.334 0.166

* total DFT energy (no corrections): -5.3080 eV per atom
* energy of formation: -2068.5 meV per atom

=====

Record 3
A plane-wave DFT calculation with PBE was carried out for a relaxed Na6Sn2O7 crystal.

abc: 6.632 6.632 11.050
angles: 79.25 79.25 59.97
Fractional coordinates of all 30 atoms:
O: 0.719 0.996 0.003
O: 0.723 0.531 0.041
O: 0.996 0.719 0.503
O: 0.079 0.394 0.742
O: 0.277 0.469 0.959
Na: 0.326 0.530 0.622
Na: 0.925 0.672 0.881
Sn: 0.470 0.176 0.874
Na: 0.215 0.924 0.403
Na: 0.075 0.328 0.119
O: 0.004 0.281 0.497
O: 0.531 0.723 0.541
O: 0.281 0.004 0.997
O: 0.344 0.656 0.250
Na: 0.470 0.674 0.878
Na: 0.672 0.925 0.381
Na: 0.328 0.075 0.619
Sn: 0.176 0.470 0.374
O: 0.921 0.606 0.258
Na: 0.924 0.215 0.903
O: 0.606 0.921 0.758
Na: 0.785 0.076 0.597
O: 0.469 0.277 0.459
O: 0.394 0.079 0.242
Na: 0.530 0.326 0.122
Na: 0.076 0.785 0.097
Sn: 0.824 0.530 0.626
O: 0.656 0.344 0.750
Sn: 0.530 0.824 0.126
Na: 0.674 0.470 0.378

* total DFT energy (no corrections): -4.9279 eV per atom
* distance to the lowest polymorph of the same formula: 0.017 eV/f.u.
* energy of formation: -1875.8 meV per atom

=====

Record 4
A plane-wave DFT calculation with PBE was carried out for a relaxed Na6Sn2O7 crystal.

abc: 6.270 6.270 12.330
angles: 77.95 77.95 90.50
Fractional coordinates of all 30 atoms:
O: 0.787 0.517 0.816
O: 0.235 0.694 0.900
Na: 0.474 0.014 0.871
O: 0.262 0.156 0.011
O: 0.738 0.844 0.989
O: 0.306 0.765 0.600
Na: 0.206 0.920 0.412
Na: 0.500 0.500 0.500
Na: 0.014 0.474 0.371
O: 0.694 0.235 0.400
O: 0.765 0.306 0.100
Na: 0.526 0.986 0.129
O: 0.156 0.262 0.511
O: 0.213 0.483 0.184
Na: 0.455 0.545 0.750
Na: 0.545 0.455 0.250
O: 0.973 0.027 0.750
O: 0.844 0.738 0.489
Sn: 0.060 0.261 0.132
O: 0.517 0.787 0.316
Sn: 0.739 0.940 0.368
Na: 0.986 0.526 0.629
Na: 0.500 0.500 0.000
Na: 0.794 0.080 0.588
Sn: 0.261 0.060 0.632
O: 0.483 0.213 0.684
Na: 0.080 0.794 0.088
Na: 0.920 0.206 0.912
Sn: 0.940 0.739 0.868
O: 0.027 0.973 0.250

* total DFT energy (no corrections): -4.9139 eV per atom
* distance to the lowest polymorph of the same formula: 0.227 eV/f.u.
* energy of formation: -1861.8 meV per atom

=====

Question: Look up the energy of formation of the third one.
Answer: -1875.8 meV per atom

=====

Question: The highest total DFT energy (no corrections) belongs to which entry?
Answer: number 4

=====

Please write out number 3 again, unchanged.
A plane-wave DFT calculation with PBE was carried out for a relaxed Na6Sn2O7 crystal.

abc: 6.632 6.632 11.050
angles: 79.25 79.25 59.97
Fractional coordinates of all 30 atoms:
O: 0.719 0.996 0.003
O: 0.723 0.531 0.041
O: 0.996 0.719 0.503
O: 0.079 0.394 0.742
O: 0.277 0.469 0.959
Na: 0.326 0.530 0.622
Na: 0.925 0.672 0.881
Sn: 0.470 0.176 0.874
Na: 0.215 0.924 0.403
Na: 0.075 0.328 0.119
O: 0.004 0.281 0.497
O: 0.531 0.723 0.541
O: 0.281 0.004 0.997
O: 0.344 0.656 0.250
Na: 0.470 0.674 0.878
Na: 0.672 0.925 0.381
Na: 0.328 0.075 0.619
Sn: 0.176 0.470 0.374
O: 0.921 0.606 0.258
Na: 0.924 0.215 0.903
O: 0.606 0.921 0.758
Na: 0.785 0.076 0.597
O: 0.469 0.277 0.459
O: 0.394 0.079 0.242
Na: 0.530 0.326 0.122
Na: 0.076 0.785 0.097
Sn: 0.824 0.530 0.626
O: 0.656 0.344 0.750
Sn: 0.530 0.824 0.126
Na: 0.674 0.470 0.378

* total DFT energy (no corrections): -4.9279 eV per atom
* distance to the lowest polymorph of the same formula: 0.017 eV/f.u.
* energy of formation: -1875.8 meV per atom

=====

Question: Which value of energy of formation does entry 3 give?
Answer: -1875.8 meV per atom